Entry 1:
{"formula": "PuPd3", "functional": "meta-GGA r2SCAN", "state": "relaxed", "ef_ev_per_atom": -0.77, "total_magnetization_mub_per_cell": 4.7, "energy_ev_per_atom": -39.576, "lattice_angstrom": [[-3.114, -0.288, -2.702], [2.713, -0.277, -3.098], [0.034, -4.113, 0.398]], "species": ["Pu", "Pd", "Pd", "Pd"], "fractional_positions": [[0.000, 0.000, 0.000], [0.000, 0.500, 0.500], [0.500, 0.500, 0.000], [0.500, 0.000, 0.500]]}

Entry 2:
{"formula": "HfAlPt", "functional": "meta-GGA r2SCAN", "state": "relaxed", "ef_ev_per_atom": -1.14, "total_magnetization_mub_per_cell": 0.0, "energy_ev_per_atom": -35.596, "lattice_angstrom": [[0.000, 0.000, -3.964], [-3.369, -5.835, 0.000], [-3.369, 5.835, 0.000]], "species": ["Pt", "Al", "Hf", "Hf", "Hf", "Pt", "Pt", "Al", "Al"], "fractional_positions": [[0.500, 0.667, 0.333], [0.500, 0.752, 0.752], [0.000, 0.000, 0.584], [0.000, 0.584, 0.000], [0.000, 0.416, 0.416], [0.000, 0.000, 0.000], [0.500, 0.333, 0.667], [0.500, 0.248, 0.000], [0.500, 0.000, 0.248]]}

Entry 3:
{"formula": "GdFeB4", "functional": "meta-GGA r2SCAN", "state": "relaxed", "ef_ev_per_atom": -0.53, "total_magnetization_mub_per_cell": 33.8, "energy_ev_per_atom": -15.063, "lattice_angstrom": [[-0.474, -2.862, 1.853], [5.450, -1.829, -1.431], [4.211, 5.299, 9.262]], "species": ["B", "Fe", "B", "B", "B", "B", "B", "B", "B", "Fe", "Gd", "B", "B", "Gd", "Fe", "B", "B", "B", "B", "B", "B", "Gd", "Gd", "Fe"], "fractional_positions": [[0.000, 0.779, 0.817], [0.500, 0.127, 0.583], [0.000, 0.721, 0.317], [0.000, 0.888, 0.546], [0.000, 0.388, 0.954], [0.000, 0.112, 0.454], [0.000, 0.221, 0.183], [0.000, 0.640, 0.467], [0.000, 0.612, 0.046], [0.500, 0.627, 0.917], [0.500, 0.873, 0.150], [0.000, 0.023, 0.310], [0.000, 0.477, 0.810], [0.500, 0.627, 0.650], [0.500, 0.873, 0.417], [0.000, 0.360, 0.533], [0.000, 0.279, 0.683], [0.000, 0.860, 0.967], [0.000, 0.140, 0.033], [0.000, 0.977, 0.690], [0.000, 0.523, 0.190], [0.500, 0.127, 0.850], [0.500, 0.373, 0.350], [0.500, 0.373, 0.083]]}

Entry 4:
{"formula": "ErCuS2", "functional": "meta-GGA r2SCAN", "state": "relaxed", "ef_ev_per_atom": -1.59, "total_magnetization_mub_per_cell": 0.0, "energy_ev_per_atom": -16.798, "lattice_angstrom": [[3.907, 0.000, 0.000], [0.000, 6.210, 0.000], [0.000, 0.000, 13.257]], "species": ["Er", "Cu", "Cu", "S", "Er", "S", "S", "S", "S", "Cu", "Cu", "Er", "S", "S", "Er", "S"], "fractional_positions": [[0.753, 0.248, 0.866], [0.244, 0.126, 0.457], [0.256, 0.874, 0.957], [0.247, 0.506, 0.460], [0.253, 0.252, 0.134], [0.248, 0.992, 0.296], [0.753, 0.006, 0.040], [0.252, 0.008, 0.796], [0.748, 0.508, 0.704], [0.744, 0.374, 0.543], [0.756, 0.626, 0.043], [0.747, 0.752, 0.366], [0.253, 0.494, 0.960], [0.752, 0.492, 0.204], [0.247, 0.748, 0.634], [0.747, 0.994, 0.540]]}

Entry 5:
{"formula": "NdMg12", "functional": "meta-GGA r2SCAN", "state": "relaxed", "ef_ev_per_atom": -0.05, "total_magnetization_mub_per_cell": 0.0, "energy_ev_per_atom": -6.160, "lattice_angstrom": [[5.462, 0.000, 2.221], [2.730, 7.235, 1.114], [0.005, 0.004, 7.813]], "species": ["Mg", "Mg", "Nd", "Mg", "Mg", "Mg", "Mg", "Mg", "Mg", "Mg", "Mg", "Mg", "Mg"], "fractional_positions": [[0.648, 0.352, 0.352], [0.712, 0.788, 0.788], [0.000, 0.000, 0.000], [0.000, 0.000, 0.500], [0.000, 0.500, 0.000], [0.000, 0.352, 0.648], [0.500, 0.500, 0.000], [0.000, 0.648, 0.352], [0.500, 0.788, 0.212], [0.500, 0.000, 0.500], [0.288, 0.212, 0.212], [0.500, 0.212, 0.788], [0.352, 0.648, 0.648]]}

Entry 6:
{"formula": "IrRh3", "functional": "meta-GGA r2SCAN", "state": "relaxed", "ef_ev_per_atom": -0.01, "total_magnetization_mub_per_cell": 0.0, "energy_ev_per_atom": -31.203, "lattice_angstrom": [[-0.592, -2.434, 2.880], [3.704, 0.171, 0.907], [-0.708, 2.935, 2.335]], "species": ["Rh", "Ir", "Rh", "Rh"], "fractional_positions": [[0.500, 0.000, 0.500], [0.000, 0.000, 0.000], [0.000, 0.500, 0.500], [0.500, 0.500, 0.000]]}